[1]
Material: Ti2Co3Si
Method: DFT, meta-GGA r2SCAN
State: relaxed

ρ	6.9	g/cm³
total energy	-0.474	hartree per atom

Lattice parameters (Å, degrees): 4.7867 4.7866 7.2948 90.00 90.00 120.00
Closest atoms and distances in Å follow each position.
Positions (direct):
Ti: 0.3333 0.6667 0.9389  9 Co 2.64-2.76, 4 Ti 2.76-2.90, 3 Si 2.80
Ti: 0.6667 0.3333 0.0611  9 Co 2.64-2.76, 4 Ti 2.76-2.90, 3 Si 2.80
Ti: 0.6667 0.3333 0.4388  9 Co 2.64-2.76, 4 Ti 2.76-2.90, 3 Si 2.80
Ti: 0.3333 0.6667 0.5611  9 Co 2.64-2.76, 4 Ti 2.76-2.90, 3 Si 2.80
Co: 0.8291 0.1709 0.7500  2 Si 2.31, 4 Co 2.33-2.45
Co: 0.8291 0.6582 0.7500  2 Si 2.31, 4 Co 2.33-2.45
Co: 0.3418 0.1709 0.7500  2 Si 2.31, 4 Co 2.33-2.45
Co: 0.1709 0.8291 0.2500  2 Si 2.31, 4 Co 2.33-2.45
Co: 0.1709 0.3418 0.2500  2 Si 2.31, 4 Co 2.33-2.45
Co: 0.6582 0.8291 0.2500  2 Si 2.31, 4 Co 2.33-2.45
Si: 0.0000 0.0000 0.0000  6 Co 2.31
Si: 0.0000 0.0000 0.5000  6 Co 2.31

=====

[2]
Material: Rb2MoSeO6
Method: DFT, meta-GGA r2SCAN
State: relaxed

ρ	4.2	g/cm³
total energy	-0.451	hartree per atom

Lattice parameters (Å, degrees): 6.1943 7.7986 14.4113 90.00 90.00 90.00
Closest atoms and distances in Å follow each position.
Positions (direct):
Rb: 0.2500 0.8730 0.4671  7 O 2.90-3.22
Rb: 0.2500 0.3730 0.0329  7 O 2.90-3.22
Rb: 0.7500 0.1566 0.7988  9 O 2.91-3.11
Rb: 0.7500 0.1270 0.5329  7 O 2.90-3.22
Rb: 0.2500 0.3434 0.2988  9 O 2.91-3.11
Rb: 0.7500 0.6270 0.9671  7 O 2.90-3.22
Rb: 0.7500 0.6566 0.7012  9 O 2.91-3.11
Rb: 0.2500 0.8434 0.2012  9 O 2.91-3.11
Mo: 0.2500 0.8978 0.7306  3 O 1.74-1.78
Mo: 0.7500 0.6022 0.2306  3 O 1.74-1.78
Mo: 0.2500 0.3978 0.7694  3 O 1.74-1.78
Mo: 0.7500 0.1022 0.2694  3 O 1.74-1.78
Se: 0.7500 0.0825 0.0621  3 O 1.66-1.74
Se: 0.2500 0.9175 0.9379  3 O 1.66-1.74
Se: 0.7500 0.5825 0.4379  3 O 1.66-1.74
Se: 0.2500 0.4175 0.5621  3 O 1.66-1.74
O: 0.9744 0.0485 0.3355  1 Mo 1.74
O: 0.9529 0.1122 0.1437  1 Se 1.74
O: 0.0471 0.3878 0.6437  1 Se 1.74
O: 0.7500 0.2585 0.9973  1 Se 1.66
O: 0.2500 0.6697 0.7223  1 Mo 1.78
O: 0.0471 0.8878 0.8563  1 Se 1.74
O: 0.5256 0.5485 0.1645  1 Mo 1.74
O: 0.0256 0.4515 0.8355  1 Mo 1.74
O: 0.5471 0.6122 0.3563  1 Se 1.74
O: 0.5256 0.0485 0.3355  1 Mo 1.74
O: 0.2500 0.1697 0.7777  1 Mo 1.78
O: 0.2500 0.7415 0.0027  1 Se 1.66
O: 0.0256 0.9515 0.6645  1 Mo 1.74
O: 0.4529 0.3878 0.6437  1 Se 1.74
O: 0.2500 0.2415 0.4973  1 Se 1.66
O: 0.4744 0.9515 0.6645  1 Mo 1.74
O: 0.7500 0.3303 0.2777  1 Mo 1.78
O: 0.7500 0.7585 0.5027  1 Se 1.66
O: 0.4744 0.4515 0.8355  1 Mo 1.74
O: 0.9529 0.6122 0.3563  1 Se 1.74
O: 0.9744 0.5485 0.1645  1 Mo 1.74
O: 0.5471 0.1122 0.1437  1 Se 1.74
O: 0.4529 0.8878 0.8563  1 Se 1.74
O: 0.7500 0.8303 0.2223  1 Mo 1.78

=====

[3]
Material: PuGe3
Method: DFT, meta-GGA r2SCAN
State: relaxed

ρ	9.9	g/cm³
total energy	-1.190	hartree per atom

Lattice parameters (Å, degrees): 4.2602 4.2602 4.2602 90.00 90.00 90.00
Closest atoms and distances in Å follow each position.
Positions (direct):
Pu: 0.0000 0.0000 0.0000  12 Ge 3.01
Ge: 0.0000 0.5000 0.5000  4 Pu 3.01, 8 Ge 3.01
Ge: 0.5000 0.5000 0.0000  8 Ge 3.01, 4 Pu 3.01
Ge: 0.5000 0.0000 0.5000  8 Ge 3.01, 4 Pu 3.01

=====

[4]
Material: In4As5Br3O12
Method: DFT, meta-GGA r2SCAN
State: relaxed

ρ	4.4	g/cm³
total energy	-0.475	hartree per atom

Lattice parameters (Å, degrees): 8.0625 10.5888 12.0482 70.58 79.72 80.30
Closest atoms and distances in Å follow each position.
Positions (direct):
In: 0.0000 0.5000 0.0000  6 O 2.13-2.21
In: 0.0000 0.0000 0.0000  6 O 2.15-2.21
In: 0.7411 0.7894 0.9869  6 O 2.12-2.22
In: 0.2589 0.2106 0.0131  6 O 2.12-2.22
In: 0.3489 0.7091 0.9880  6 O 2.15-2.36
In: 0.6511 0.2909 0.0120  6 O 2.15-2.36
In: 0.8474 0.8010 0.4786  1 O 2.05
In: 0.1526 0.1990 0.5214  1 O 2.05
As: 0.9707 0.3212 0.8043  3 O 1.78-1.84
As: 0.0293 0.6788 0.1957  3 O 1.78-1.84
As: 0.7440 0.6226 0.7721  3 O 1.76-1.83
As: 0.2560 0.3774 0.2279  3 O 1.76-1.83
As: 0.3744 0.5232 0.8177  3 O 1.78-1.86
As: 0.6256 0.4768 0.1823  3 O 1.78-1.86
As: 0.0755 0.9107 0.7464  3 O 1.74-1.89
As: 0.9245 0.0893 0.2536  3 O 1.74-1.89
As: 0.6033 0.9917 0.1822  3 O 1.79-1.83
As: 0.3967 0.0083 0.8178  3 O 1.79-1.83
Br: 0.9032 0.3596 0.4406  1 In 2.52
Br: 0.0968 0.6404 0.5594  1 In 2.52
Br: 0.7389 0.9708 0.5907  1 In 2.55
Br: 0.2611 0.0292 0.4093  1 In 2.55
Br: 0.6094 0.6769 0.4761  1 In 2.51
Br: 0.3906 0.3231 0.5239  1 In 2.51
O: 0.8380 0.6553 0.8789  1 As 1.76
O: 0.1620 0.3447 0.1211  1 As 1.76
O: 0.7599 0.9177 0.0893  1 As 1.79
O: 0.2401 0.0823 0.9107  1 As 1.79
O: 0.2241 0.5929 0.9173  1 As 1.79
O: 0.7759 0.4071 0.0827  1 As 1.79
O: 0.8620 0.1951 0.9178  1 As 1.78
O: 0.1380 0.8049 0.0822  1 As 1.78
O: 0.5283 0.6129 0.8526  2 As 1.83-1.86
O: 0.4717 0.3871 0.1474  2 As 1.83-1.86
O: 0.4378 0.3604 0.9143  1 As 1.78
O: 0.5622 0.6396 0.0857  1 As 1.78
O: 0.7827 0.4388 0.8283  2 As 1.83-1.84
O: 0.2173 0.5612 0.1717  2 As 1.83-1.84
O: 0.9102 0.6361 0.1033  1 As 1.80
O: 0.0898 0.3639 0.8967  1 As 1.80
O: 0.5027 0.8790 0.9300  1 As 1.79
O: 0.4973 0.1210 0.0700  1 As 1.79
O: 0.9343 0.9121 0.8787  1 As 1.79
O: 0.0657 0.0879 0.1213  1 As 1.79
O: 0.9131 0.9160 0.3062  1 As 1.74
O: 0.0869 0.0840 0.6938  1 As 1.74
O: 0.2713 0.8772 0.8230  2 As 1.83-1.89
O: 0.7287 0.1228 0.1770  2 As 1.83-1.89

=====

[5]
Material: Hf3N4
Method: DFT, meta-GGA r2SCAN
State: relaxed

ρ	10.7	g/cm³
total energy	-0.975	hartree per atom

Lattice parameters (Å, degrees): 6.3760 6.3760 6.3760 60.00 90.00 120.00
Closest atoms and distances in Å follow each position.
Positions (direct):
Hf: 0.5000 0.0000 0.0000  6 N 2.19
Hf: 0.5000 0.0000 0.5000  6 N 2.19
Hf: 0.1250 0.2500 0.1250  4 N 2.07
Hf: 0.5000 0.5000 0.5000  6 N 2.19
Hf: 0.8750 0.7500 0.8750  4 N 2.07
Hf: 0.0000 0.5000 0.5000  6 N 2.19
N: 0.7422 0.4844 0.2734  4 Hf 2.07-2.19
N: 0.7422 0.0156 0.7422  4 Hf 2.07-2.19
N: 0.2734 0.0156 0.7422  4 Hf 2.07-2.19
N: 0.7422 0.4844 0.7422  4 Hf 2.07-2.19
N: 0.2578 0.5156 0.2578  4 Hf 2.07-2.19
N: 0.7266 0.9844 0.2578  4 Hf 2.07-2.19
N: 0.2578 0.5156 0.7266  4 Hf 2.07-2.19
N: 0.2578 0.9844 0.2578  4 Hf 2.07-2.19

=====

[6]
Material: CoAsS
Method: DFT, meta-GGA r2SCAN
State: relaxed

ρ	6.3	g/cm³
total energy	-0.458	hartree per atom

Lattice parameters (Å, degrees): 3.4674 4.5790 5.5455 90.00 90.00 90.00
Closest atoms and distances in Å follow each position.
Positions (direct):
Co: 0.7500 0.7387 0.4974  3 S 2.25-2.29, 3 As 2.31-2.32
Co: 0.2500 0.2613 0.9974  3 S 2.25-2.29, 3 As 2.31-2.32
As: 0.2500 0.0410 0.3731  3 Co 2.31-2.32, 1 S 2.33
As: 0.7500 0.9590 0.8731  3 Co 2.31-2.32, 1 S 2.33
S: 0.7500 0.5512 0.1233  3 Co 2.25-2.29, 1 As 2.33
S: 0.2500 0.4488 0.6233  3 Co 2.25-2.29, 1 As 2.33

=====

[7]
Material: Cs2NaAs7
Method: DFT, meta-GGA r2SCAN
State: relaxed

ρ	4.0	g/cm³
total energy	-0.593	hartree per atom

Lattice parameters (Å, degrees): 11.0181 10.3102 11.8853 90.01 90.00 90.00
Closest atoms and distances in Å follow each position.
Positions (direct):
Cs: 0.2975 0.4617 0.9885  10 As 3.67-4.10
Cs: 0.7975 0.0383 0.0115  10 As 3.67-4.10
Cs: 0.7025 0.5383 0.0115  10 As 3.67-4.10
Cs: 0.2025 0.9617 0.9885  10 As 3.67-4.10
Cs: 0.0040 0.3506 0.7337  9 As 3.81-4.09, 1 Na 4.23
Cs: 0.5040 0.1494 0.2663  9 As 3.81-4.09, 1 Na 4.23
Cs: 0.9960 0.6494 0.2663  9 As 3.81-4.09, 1 Na 4.23
Cs: 0.4960 0.8506 0.7337  9 As 3.81-4.09, 1 Na 4.23
Na: 0.1980 0.0555 0.4646  5 As 3.00-3.18
Na: 0.6980 0.4445 0.5354  5 As 3.00-3.18
Na: 0.8020 0.9445 0.5354  5 As 3.00-3.18
Na: 0.3020 0.5555 0.4646  5 As 3.00-3.18
As: 0.5005 0.1781 0.9027  2 As 2.35-2.43
As: 0.0005 0.3219 0.0973  2 As 2.35-2.43
As: 0.4995 0.8219 0.0973  2 As 2.35-2.43
As: 0.9995 0.6781 0.9027  2 As 2.35-2.43
As: 0.6526 0.2844 0.7875  3 As 2.42-2.44
As: 0.1526 0.2156 0.2125  3 As 2.42-2.44
As: 0.3474 0.7156 0.2125  3 As 2.42-2.44
As: 0.8474 0.7844 0.7875  3 As 2.42-2.44
As: 0.3342 0.1884 0.7786  3 As 2.35-2.54
As: 0.8342 0.3116 0.2214  3 As 2.35-2.54
As: 0.6658 0.8116 0.2214  3 As 2.35-2.54
As: 0.1658 0.6884 0.7786  3 As 2.35-2.54
As: 0.9532 0.9853 0.7425  2 As 2.35-2.44
As: 0.4532 0.5147 0.2575  2 As 2.35-2.44
As: 0.0468 0.0147 0.2575  2 As 2.35-2.44
As: 0.5468 0.4853 0.7425  2 As 2.35-2.44
As: 0.3659 0.3981 0.6702  3 As 2.35-2.54
As: 0.8659 0.1019 0.3298  3 As 2.35-2.54
As: 0.6341 0.6019 0.3298  3 As 2.35-2.54
As: 0.1341 0.8981 0.6702  3 As 2.35-2.54
As: 0.4249 0.1868 0.5837  3 As 2.36-2.52
As: 0.9249 0.3132 0.4163  3 As 2.36-2.52
As: 0.5751 0.8132 0.4163  3 As 2.36-2.52
As: 0.0751 0.6868 0.5837  3 As 2.36-2.52
As: 0.1361 0.3318 0.3888  2 As 2.36-2.42
As: 0.6361 0.1682 0.6112  2 As 2.36-2.42
As: 0.8639 0.6682 0.6112  2 As 2.36-2.42
As: 0.3639 0.8318 0.3888  2 As 2.36-2.42

=====

[8]
Material: Ce3ZrSb5
Method: DFT, meta-GGA r2SCAN
State: relaxed

ρ	7.4	g/cm³
total energy	-1.038	hartree per atom

Lattice parameters (Å, degrees): 9.5416 9.5406 6.3729 90.00 90.00 120.00
Closest atoms and distances in Å follow each position.
Positions (direct):
Ce: 0.6159 0.0000 0.2500  9 Sb 3.24-3.39
Ce: 0.3841 0.0000 0.7500  9 Sb 3.24-3.39
Ce: 0.0000 0.6159 0.2500  9 Sb 3.24-3.39
Ce: 0.0000 0.3841 0.7500  9 Sb 3.24-3.39
Ce: 0.3841 0.3841 0.2500  9 Sb 3.24-3.40
Ce: 0.6159 0.6159 0.7500  9 Sb 3.24-3.39
Zr: 0.0000 0.0000 0.0000  6 Sb 2.96, 2 Zr 3.19
Zr: 0.0000 0.0000 0.5000  6 Sb 2.96, 2 Zr 3.19
Sb: 0.2616 0.0000 0.2501  2 Zr 2.96, 2 Ce 3.24
Sb: 0.7384 0.0000 0.7499  2 Zr 2.96, 2 Ce 3.24
Sb: 0.0000 0.2615 0.2501  2 Zr 2.96, 2 Ce 3.24
Sb: 0.0000 0.7384 0.7499  2 Zr 2.96, 2 Ce 3.24
Sb: 0.7384 0.7384 0.2499  2 Zr 2.96, 2 Ce 3.24
Sb: 0.2616 0.2616 0.7502  2 Zr 2.96, 2 Ce 3.24
Sb: 0.3334 0.6667 0.0001  2 Sb 3.19, 6 Ce 3.37
Sb: 0.6667 0.3333 0.0001  2 Sb 3.19, 6 Ce 3.37
Sb: 0.6667 0.3334 0.4999  2 Sb 3.19, 6 Ce 3.37
Sb: 0.3333 0.6667 0.4999  2 Sb 3.19, 6 Ce 3.37

=====

[9]
Material: InNi3N
Method: DFT, meta-GGA r2SCAN
State: relaxed

ρ	8.9	g/cm³
total energy	-0.502	hartree per atom

Lattice parameters (Å, degrees): 3.8399 3.8399 3.8399 90.00 90.00 90.00
Closest atoms and distances in Å follow each position.
Positions (direct):
In: 0.0000 0.0000 0.0000  12 Ni 2.72
Ni: 0.5000 0.5000 0.0000  2 N 1.92
Ni: 0.5000 0.0000 0.5000  2 N 1.92
Ni: 0.0000 0.5000 0.5000  2 N 1.92
N: 0.5000 0.5000 0.5000  6 Ni 1.92